DFT (GGA+U) results for a relaxed structure of Li5V3P8O29.

Results
The calculation puts the formation energy at -2.618 eV per atom. Its energy above the most stable polymorph in this dataset is 2 meV per atom. As for the electronic total energy: -7.03 eV/atom. The value obtained for the corrected total energy (MP2020 scheme) is -7.587 eV per atom. The space group is P1, No. 1. For the total magnetic moment, the calculation gives 2.001 μB per formula unit. The value obtained for the volume is 1167.5 Å³ per cell.

a = 9.758 Å, b = 9.792 Å, c = 14.060 Å
α = 89.45°, β = 89.76°, γ = 60.36°
Atoms (fractional coordinates):
Li  0.000  0.000  0.000
Li  0.011  0.436  0.495
Li  0.046  0.705  0.062
Li  0.193  0.341  0.121
Li  0.336  0.344  0.617
Li  0.422  0.577  0.492
Li  0.436  0.433  0.001
Li  0.452  0.980  0.948
Li  0.783  0.756  0.617
Li  0.876  0.988  0.495
V  0.103  0.229  0.308
V  0.105  0.090  0.804
V  0.537  0.666  0.301
V  0.540  0.233  0.807
V  0.672  0.091  0.303
V  0.677  0.657  0.810
P  0.019  0.976  0.212
P  0.021  0.430  0.718
P  0.192  0.890  0.395
P  0.197  0.342  0.902
P  0.327  0.748  0.896
P  0.338  0.340  0.400
P  0.422  0.433  0.217
P  0.423  0.580  0.711
P  0.434  0.002  0.184
P  0.439  0.999  0.687
P  0.766  0.329  0.427
P  0.777  0.325  0.929
P  0.786  0.748  0.399
P  0.793  0.885  0.896
P  0.872  0.982  0.713
P  0.884  0.578  0.215
O  0.009  0.281  0.739
O  0.017  0.132  0.224
O  0.020  0.002  0.721
O  0.024  0.405  0.224
O  0.082  0.892  0.120
O  0.094  0.901  0.478
O  0.109  0.416  0.627
O  0.111  0.449  0.808
O  0.118  0.425  0.991
O  0.118  0.863  0.299
O  0.182  0.919  0.897
O  0.188  0.326  0.401
O  0.202  0.043  0.377
O  0.208  0.180  0.887
O  0.289  0.001  0.737
O  0.291  0.156  0.221
O  0.306  0.679  0.796
O  0.315  0.452  0.309
O  0.316  0.653  0.976
O  0.337  0.432  0.128
O  0.353  0.418  0.488
O  0.359  0.654  0.618
O  0.360  0.746  0.395
O  0.367  0.318  0.897
O  0.425  0.006  0.581
O  0.430  0.858  0.226
O  0.434  0.152  0.726
O  0.440  0.414  0.720
O  0.444  0.006  0.078
O  0.451  0.574  0.220
O  0.477  0.763  0.890
O  0.486  0.181  0.380
O  0.580  0.279  0.231
O  0.582  0.570  0.737
O  0.587  0.998  0.230
O  0.589  0.851  0.726
O  0.616  0.477  0.387
O  0.622  0.334  0.889
O  0.628  0.756  0.379
O  0.631  0.035  0.888
O  0.724  0.141  0.734
O  0.726  0.581  0.223
O  0.763  0.744  0.894
O  0.765  0.917  0.398
O  0.768  0.317  0.533
O  0.770  0.178  0.383
O  0.785  0.466  0.885
O  0.787  0.306  0.034
O  0.849  0.002  0.228
O  0.856  0.578  0.717
O  0.861  0.664  0.491
O  0.862  0.910  0.622
O  0.889  0.865  0.798
O  0.898  0.875  0.976
O  0.903  0.658  0.313
O  0.912  0.656  0.133
O  0.917  0.334  0.389
O  0.924  0.171  0.884